# 1
Computed, not measured: a geometry-optimized Ho4Ga12Fe structure at the PBE level of DFT.

a = 7.413 Å, b = 7.413 Å, c = 7.413 Å
α = 109.47°, β = 109.47°, γ = 109.47°
Positions (direct):
Ho1 0.000 0.000 0.500
Ho2 0.000 0.500 0.000
Ho3 0.500 0.000 0.000
Ho4 0.500 0.500 0.500
Ga1 0.000 0.284 0.284
Ga2 0.000 0.716 0.716
Ga3 0.250 0.500 0.750
Ga4 0.250 0.750 0.500
Ga5 0.284 0.000 0.284
Ga6 0.284 0.284 0.000
Ga7 0.500 0.250 0.750
Ga8 0.500 0.750 0.250
Ga9 0.716 0.000 0.716
Ga10 0.716 0.716 0.000
Ga11 0.750 0.250 0.500
Ga12 0.750 0.500 0.250
Fe1 0.000 0.000 0.000

Calculated values
Formation energy ... -0.5215 eV per atom
Space-group type ... Im-3m (229)
V ... 313.6 Å³/cell
Mass density ... 8.220 g/cm³
Total DFT energy (no corrections) ... -72.002 eV for the cell shown

---

# 2
Computed, not measured: a geometry-optimized Ta3P structure at the PBE level of DFT.

a = 10.225 Å, b = 10.225 Å, c = 5.045 Å
α = 90.00°, β = 90.00°, γ = 90.00°
Positions (direct):
Ta1 0.049 0.049 0.250
Ta2 0.049 0.451 0.750
Ta3 0.104 0.750 0.000
Ta4 0.157 0.157 0.750
Ta5 0.157 0.343 0.250
Ta6 0.250 0.604 0.500
Ta7 0.250 0.896 0.500
Ta8 0.343 0.157 0.250
Ta9 0.343 0.343 0.750
Ta10 0.396 0.750 0.000
Ta11 0.451 0.049 0.750
Ta12 0.451 0.451 0.250
Ta13 0.549 0.549 0.750
Ta14 0.549 0.951 0.250
Ta15 0.604 0.250 0.000
Ta16 0.657 0.657 0.250
Ta17 0.657 0.843 0.750
Ta18 0.750 0.104 0.500
Ta19 0.750 0.396 0.500
Ta20 0.843 0.657 0.750
Ta21 0.843 0.843 0.250
Ta22 0.896 0.250 0.000
Ta23 0.951 0.549 0.250
Ta24 0.951 0.951 0.750
P1 0.043 0.750 0.500
P2 0.250 0.543 0.000
P3 0.250 0.957 0.000
P4 0.457 0.750 0.500
P5 0.543 0.250 0.500
P6 0.750 0.043 0.000
P7 0.750 0.457 0.000
P8 0.957 0.250 0.500

Calculated values
Formation energy ... -0.5974 eV per atom
Space-group type ... P4_2/nbc (133)
V ... 527.5 Å³/cell
Mass density ... 14.451 g/cm³
Total DFT energy (no corrections) ... -347.010 eV for the cell shown

---

# 3
Computed, not measured: a geometry-optimized LiAlGe structure at the PBE level of DFT.

a = 4.256 Å, b = 4.256 Å, c = 4.256 Å
α = 60.00°, β = 60.00°, γ = 60.00°
Positions (direct):
Li1 0.000 0.000 0.000
Al1 0.500 0.500 0.500
Ge1 0.750 0.750 0.750

Calculated values
Formation energy ... -0.2914 eV per atom
Space-group type ... F-43m (216)
V ... 54.5 Å³/cell
Piezoelectric modulus e_max ... 0.6 C/m²
Mass density ... 3.246 g/cm³
Total DFT energy (no corrections) ... -11.152 eV for the cell shown

---

# 4
Computed, not measured: a geometry-optimized TaFeB structure at the PBE level of DFT.

a = 5.980 Å, b = 5.980 Å, c = 3.204 Å
α = 90.00°, β = 90.00°, γ = 120.00°
Positions (direct):
Ta1 0.000 0.412 0.000
Ta2 0.412 0.000 0.000
Ta3 0.588 0.588 0.000
Fe1 0.000 0.760 0.500
Fe2 0.240 0.240 0.500
Fe3 0.760 0.000 0.500
B1 0.000 0.000 0.000
B2 0.333 0.667 0.500
B3 0.667 0.333 0.500

Calculated values
Formation energy ... -0.6204 eV per atom
Space-group type ... P-62m (189)
V ... 99.2 Å³/cell
Mass density ... 12.431 g/cm³
Total DFT energy (no corrections) ... -86.605 eV for the cell shown

---

The lowest V belongs to which entry?
LiAlGe

---

Which formula does entry 1 have?
Ho4Ga12Fe